First-principles (PBE with a Hubbard U) data for a geometry-optimized KMgMn16O32 structure, as listed in Materials Project.

Cell: 5.9010 9.6401 10.4508 Å, 91.78 90.00 90.06°
With the nearest neighbours (Å) after each atom.
Positions (direct):
K 0.0000 0.0000 0.0000  4 O 2.54-2.58, 1 Mg 2.69
Mg 0.0029 0.0477 0.7478  5 O 1.99-2.06
Mn 0.0012 0.1765 0.2672  6 O 1.92-1.98
Mn 0.0013 0.3557 0.7759  6 O 1.89-2.01
Mn 0.0008 0.6787 0.0770  6 O 1.91-1.97
Mn 0.0011 0.8475 0.5747  5 O 1.87-1.99
Mn 0.2499 0.6809 0.7710  6 O 1.95-2.10
Mn 0.2514 0.3560 0.0857  6 O 1.91-1.97
Mn 0.2506 0.8410 0.2821  6 O 1.90-2.00
Mn 0.2539 0.1993 0.5635  6 O 1.92-2.01
Mn 0.5012 0.1721 0.2632  6 O 1.93-1.96
Mn 0.5014 0.3429 0.7832  6 O 1.95-2.10
Mn 0.5006 0.6830 0.0745  6 O 1.93-1.98
Mn 0.5011 0.8733 0.5932  6 O 1.93-2.07
Mn 0.7503 0.1991 0.5637  6 O 1.92-2.01
Mn 0.7506 0.3560 0.0857  6 O 1.91-1.97
Mn 0.7505 0.8411 0.2822  6 O 1.91-1.99
Mn 0.7515 0.6811 0.7711  6 O 1.95-2.10
O 0.0004 0.7085 0.2643  3 Mn 1.96-1.97
O 0.0010 0.3237 0.9654  3 Mn 1.96-2.01
O 0.0011 0.3671 0.2084  3 Mn 1.95-1.96
O 0.0009 0.6670 0.6440  3 Mn 1.91-1.98
O 0.0008 0.7072 0.8913  3 Mn 1.95-1.97
O 0.0008 0.9731 0.2721  3 Mn 1.95-1.96
O 0.0019 0.0652 0.5590  3 Mn 1.97-2.11, 1 Mg 1.99
O 0.0019 0.3302 0.5849  3 Mn 1.96-2.00
O 0.2257 0.8873 0.7137  3 Mn 1.99-2.10, 1 Mg 2.05
O 0.2326 0.2053 0.7557  3 Mn 2.00-2.08, 1 Mg 2.03
O 0.2496 0.1627 0.1405  3 Mn 1.96-1.98
O 0.2503 0.8128 0.0921  3 Mn 1.94-2.00
O 0.2502 0.8324 0.4639  3 Mn 1.87-2.04
O 0.2509 0.4792 0.7830  3 Mn 1.89-1.98
O 0.2521 0.5533 0.0701  3 Mn 1.91-1.93
O 0.2540 0.2088 0.3801  3 Mn 1.92-1.93
O 0.5010 0.3231 0.9679  3 Mn 1.94-1.95
O 0.5012 0.3650 0.2083  3 Mn 1.95-1.96
O 0.5010 0.6830 0.6492  3 Mn 1.94-1.95
O 0.5005 0.7084 0.2628  3 Mn 1.96-1.98
O 0.5007 0.7080 0.8901  3 Mn 1.95
O 0.5009 0.9719 0.2773  3 Mn 1.94
O 0.5017 0.0700 0.5625  3 Mn 1.92-1.93
O 0.5024 0.3275 0.5923  3 Mn 1.93-2.00
O 0.7488 0.2086 0.3802  3 Mn 1.92-1.93
O 0.7492 0.5533 0.0699  3 Mn 1.91-1.93
O 0.7509 0.4786 0.7831  3 Mn 1.89-1.97
O 0.7513 0.8128 0.0924  3 Mn 1.94-1.99
O 0.7510 0.8323 0.4644  3 Mn 1.88-2.03
O 0.7522 0.1628 0.1404  3 Mn 1.96-1.98
O 0.7724 0.2044 0.7553  3 Mn 1.99-2.10, 1 Mg 2.03
O 0.7788 0.8871 0.7145  3 Mn 1.99-2.10, 1 Mg 2.06

Properties
Its total energy is -351.8 eV/f.u. For the energy above the most stable polymorph in this dataset, the calculation gives 41 meV/atom. The calculation puts the total energy after the MP2020 corrections at -8.009 eV per atom. The calculation puts the formation energy at -1.856 eV per atom.

---

First-principles (PBE with a Hubbard U) data for a geometry-optimized KMgMn4O8 structure, as listed in Materials Project.

Cell: 3.1629 7.3508 7.4912 Å, 91.00 97.66 98.29°
With the nearest neighbours (Å) after each atom.
Positions (direct):
K 0.0000 0.0000 0.0000  4 O 2.57-2.73
Mg 0.6277 0.2774 0.6986  4 O 1.90-1.99
Mn 0.2298 0.6003 0.7765  5 O 1.92-2.10
Mn 0.2420 0.2370 0.3760  5 O 1.89-2.08
Mn 0.6245 0.8799 0.4610  5 O 1.94-2.12
Mn 0.8636 0.5784 0.1377  6 O 1.92-2.11
O 0.0064 0.7559 0.3359  3 Mn 1.92-2.12
O 0.1202 0.3879 0.5881  2 Mg 1.94-1.99, 2 Mn 2.03-2.05
O 0.3067 0.0509 0.5800  1 Mg 1.95, 2 Mn 1.99-2.08
O 0.3292 0.4324 0.2186  3 Mn 1.89-2.04
O 0.3860 0.7145 0.0203  3 Mn 1.97-2.11
O 0.6413 0.0948 0.2821  3 Mn 1.94-2.09
O 0.7082 0.7374 0.6823  3 Mn 1.92-2.10
O 0.7770 0.4453 0.9001  1 Mg 1.90, 2 Mn 1.98-2.03

Properties
Its total energy is -94.2 eV/f.u. For the energy above the most stable polymorph in this dataset, the calculation gives 51 meV/atom. The calculation puts the total energy after the MP2020 corrections at -7.600 eV per atom. The calculation puts the formation energy at -1.961 eV per atom.

---

Question: The highest total energy belongs to which entry?
Answer: KMgMn4O8